## SrCa (PBE)

Data for a geometry-optimized SrCa structure.

Properties
Offset from the most stable computed form, eV/atom: 0.005
Formation energy from the elements, eV/atom: 0.041

Lattice parameters (Å, degrees): 4.0849 4.0849 19.9796 90.00 90.00 120.00
Space group R-3m (No. 166, hexagonal axes)
One atom of each set of equivalent atoms:
1 Sr 0.0000 0.0000 0.0000 x3
2 Ca 0.0000 0.0000 0.5000 x3